First-principles (PBE-GGA) data for a relaxed MgTi2Zn2O6 crystal, as listed in Materials Project.

Calculated values
The symmetry is P1, No. 1. The value obtained for the polymorph energy (0 for the lowest one) is 35 meV/atom. The calculation puts the final energy at -6.70 eV/atom.

CIF file:
```
data_MgTi2Zn2O6
_chemical_formula_sum 'Mg1 Ti2 Zn2 O6'
_space_group_name_H-M_alt 'P 1'
_space_group_IT_number 1
_cell_length_a 5.2222
_cell_length_b 5.1831
_cell_length_c 5.9497
_cell_angle_alpha 64.92
_cell_angle_beta 63.11
_cell_angle_gamma 60.10
loop_
_space_group_symop_operation_xyz
'x,y,z'
loop_
_atom_site_label
_atom_site_fract_x
_atom_site_fract_y
_atom_site_fract_z
Mg1 0.5592 0.5531 0.3222
Ti1 0.3536 0.3792 0.8922
Ti2 0.0385 0.0143 0.9420
Zn1 0.1994 0.1970 0.4007
Zn2 0.7980 0.7960 0.6086
O1 0.1621 0.4213 0.6405
O2 0.4146 0.7870 0.6453
O3 0.7770 0.1569 0.6502
O4 0.6177 0.2829 0.1178
O5 0.2811 0.9630 0.1391
O6 0.9703 0.6083 0.1429
```